{
  "formula": "Pa3P4",
  "functional": "r²SCAN",
  "state": "relaxed",
  "cell": [[6.7692, 0.0000, -2.3933], [-3.3846, 5.8623, -2.3933], [0.0000, 0.0000, 7.1798]],
  "species": ["Pa", "Pa", "Pa", "Pa", "Pa", "Pa", "P", "P", "P", "P", "P", "P", "P", "P"],
  "frac_coords": [[0.1250, 0.7500, 0.8750], [0.6250, 0.3750, 0.2500], [0.3750, 0.2500, 0.6250], [0.7500, 0.8750, 0.1250], [0.2500, 0.6250, 0.3750], [0.8750, 0.1250, 0.7500], [0.6575, 0.6575, 0.6575], [0.0000, 0.8425, 0.5000], [0.8425, 0.5000, 0.0000], [0.0000, 0.3425, 0.5000], [0.5000, 0.0000, 0.8425], [0.5000, 0.0000, 0.3425], [0.3425, 0.5000, 0.0000], [0.1575, 0.1575, 0.1575]],
  "formation_enthalpy_0k_ev_per_atom": -1.347,
  "sg": "I-43d (220)"
}

{
  "formula": "LiVO2",
  "functional": "r²SCAN",
  "state": "relaxed",
  "cell": [[2.0473, 3.4754, 2.9212], [-2.9626, 4.1127, -2.8203], [-1.5313, -1.4288, 5.4945]],
  "species": ["Li", "Li", "Li", "Li", "V", "V", "V", "V", "O", "O", "O", "O", "O", "O", "O", "O"],
  "frac_coords": [[0.4998, 0.7508, 0.0006], [0.5001, 0.2504, 0.0001], [0.9996, 0.4999, 0.0007], [0.0007, 0.9992, 0.9997], [0.9999, 0.4945, 0.4999], [0.4999, 0.2555, 0.4999], [0.9997, 0.9947, 0.5001], [0.4999, 0.7554, 0.5001], [0.2485, 0.6259, 0.2648], [0.2485, 0.1258, 0.2645], [0.7486, 0.3889, 0.2646], [0.7484, 0.8889, 0.2648], [0.7515, 0.3705, 0.7351], [0.7517, 0.8704, 0.7350], [0.2517, 0.1146, 0.7349], [0.2515, 0.6147, 0.7351]],
  "formation_enthalpy_0k_ev_per_atom": -2.565
}

{
  "formula": "NdMgSi2",
  "functional": "r²SCAN",
  "state": "relaxed",
  "cell": [[4.2320, 0.0000, -0.4846], [-0.0555, 4.2316, -0.4846], [-0.0169, -0.0171, 18.5731]],
  "species": ["Nd", "Nd", "Nd", "Nd", "Mg", "Mg", "Mg", "Mg", "Si", "Si", "Si", "Si", "Si", "Si", "Si", "Si"],
  "frac_coords": [[0.7027, 0.9527, 0.9054], [0.5473, 0.7973, 0.5946], [0.4527, 0.2027, 0.4054], [0.2973, 0.0473, 0.0946], [0.6250, 0.3750, 0.7500], [0.8750, 0.1250, 0.2500], [0.3750, 0.6250, 0.2500], [0.1250, 0.8750, 0.7500], [0.0771, 0.3271, 0.6542], [0.7643, 0.5143, 0.0285], [0.1729, 0.4229, 0.8458], [0.9229, 0.6729, 0.3458], [0.9857, 0.7357, 0.4715], [0.8271, 0.5771, 0.1542], [0.0143, 0.2643, 0.5285], [0.2357, 0.4857, 0.9715]],
  "formation_enthalpy_0k_ev_per_atom": -0.577,
  "sg": "I4_1/amd (141)"
}

{
  "formula": "RbMnO4",
  "functional": "r²SCAN",
  "state": "relaxed",
  "cell": [[5.6437, 0.0000, 0.0000], [0.0000, 7.5893, 0.0000], [0.0000, 0.0000, 9.4982]],
  "species": ["Rb", "Rb", "Rb", "Rb", "Mn", "Mn", "Mn", "Mn", "O", "O", "O", "O", "O", "O", "O", "O", "O", "O", "O", "O", "O", "O", "O", "O"],
  "frac_coords": [[0.2500, 0.8446, 0.8151], [0.7500, 0.1554, 0.1849], [0.7500, 0.3446, 0.6849], [0.2500, 0.6554, 0.3151], [0.2500, 0.3007, 0.9414], [0.7500, 0.6993, 0.0586], [0.7500, 0.8007, 0.5586], [0.2500, 0.1993, 0.4414], [0.5185, 0.8190, 0.0814], [0.0185, 0.1810, 0.9186], [0.4815, 0.3190, 0.4186], [0.9815, 0.6810, 0.5814], [0.4815, 0.1810, 0.9186], [0.9815, 0.8190, 0.0814], [0.5185, 0.6810, 0.5814], [0.0185, 0.3190, 0.4186], [0.2500, 0.0429, 0.3281], [0.7500, 0.9571, 0.6719], [0.7500, 0.5429, 0.1719], [0.2500, 0.4571, 0.8281], [0.2500, 0.1224, 0.5984], [0.7500, 0.8776, 0.4016], [0.7500, 0.6224, 0.9016], [0.2500, 0.3776, 0.0984]],
  "formation_enthalpy_0k_ev_per_atom": -1.567,
  "sg": "Pnma (62)"
}

{
  "formula": "Ba6In5N",
  "functional": "r²SCAN",
  "state": "relaxed",
  "cell": [[-2.9443, -12.1568, -9.3059], [2.6394, -14.8859, -3.8081], [-5.3879, -14.5260, -1.7385]],
  "species": ["Ba", "Ba", "Ba", "Ba", "Ba", "Ba", "Ba", "Ba", "Ba", "Ba", "Ba", "Ba", "In", "In", "In", "In", "In", "In", "In", "In", "In", "In", "N", "N"],
  "frac_coords": [[0.6344, 0.2178, 0.7529], [0.2822, 0.8656, 0.7471], [0.8656, 0.7471, 0.2822], [0.7178, 0.1344, 0.2529], [0.1344, 0.2529, 0.7178], [0.2529, 0.7178, 0.1344], [0.7822, 0.2471, 0.3656], [0.7529, 0.6344, 0.2178], [0.3656, 0.7822, 0.2471], [0.2178, 0.7529, 0.6344], [0.2471, 0.3656, 0.7822], [0.7471, 0.2822, 0.8656], [0.5366, 0.9634, 0.7500], [0.1937, 0.1937, 0.1937], [0.8063, 0.8063, 0.8063], [0.7500, 0.5366, 0.9634], [0.9634, 0.7500, 0.5366], [0.6937, 0.6937, 0.6937], [0.4634, 0.0366, 0.2500], [0.0366, 0.2500, 0.4634], [0.2500, 0.4634, 0.0366], [0.3063, 0.3063, 0.3063], [0.0000, 0.0000, 0.0000], [0.5000, 0.5000, 0.5000]],
  "formation_enthalpy_0k_ev_per_atom": -0.573,
  "sg": "R-3c (167)"
}

{
  "formula": "NdSb2",
  "functional": "r²SCAN",
  "state": "relaxed",
  "cell": [[3.0615, -3.1408, 0.0000], [3.0615, 3.1408, 0.0000], [0.0000, 0.0000, 18.5631]],
  "species": ["Nd", "Nd", "Nd", "Nd", "Sb", "Sb", "Sb", "Sb", "Sb", "Sb", "Sb", "Sb"],
  "frac_coords": [[0.3614, 0.3614, 0.8883], [0.6386, 0.6386, 0.1117], [0.1386, 0.1386, 0.3883], [0.8614, 0.8614, 0.6117], [0.3667, 0.3667, 0.5619], [0.6333, 0.6333, 0.4381], [0.1333, 0.1333, 0.0619], [0.8667, 0.8667, 0.9381], [0.3767, 0.8767, 0.7500], [0.1233, 0.6233, 0.2500], [0.6233, 0.1233, 0.2500], [0.8767, 0.3767, 0.7500]],
  "formation_enthalpy_0k_ev_per_atom": -0.940,
  "sg": "Cmce (64)"
}